Density functional theory data (PBE with a Hubbard U) for crystalline VZnGe2O6 at its relaxed geometry.

Output
Energy relative to the elements   -2.061 eV per atom
Total magnetization   0.00 μB per cell
Energy relative to the lowest polymorph listed for this composition   0 meV/atom

a b c (Å): 5.400 6.897 13.760
angles (deg): 90.40 100.92 78.32
Positions (direct):
Ge  0.949  0.212  0.695
Ge  0.359  0.391  0.606
Ge  0.141  0.609  0.894
Ge  0.449  0.212  0.195
Ge  0.551  0.788  0.804
Ge  0.641  0.609  0.394
Ge  0.859  0.391  0.106
Ge  0.051  0.788  0.305
O  0.578  0.859  0.686
O  0.955  0.031  0.603
O  0.755  0.701  0.292
O  0.678  0.628  0.070
O  0.045  0.969  0.397
O  0.922  0.141  0.814
O  0.633  0.794  0.485
O  0.322  0.372  0.930
O  0.313  0.585  0.350
O  0.255  0.701  0.792
O  0.133  0.794  0.985
O  0.078  0.859  0.186
O  0.187  0.416  0.150
O  0.178  0.628  0.570
O  0.822  0.372  0.430
O  0.687  0.415  0.650
O  0.245  0.299  0.708
O  0.422  0.141  0.314
O  0.545  0.969  0.897
O  0.745  0.299  0.208
O  0.867  0.206  0.015
O  0.813  0.584  0.850
O  0.455  0.031  0.103
O  0.367  0.206  0.515
V  0.296  0.907  0.546
V  0.796  0.907  0.046
V  0.204  0.093  0.954
V  0.704  0.093  0.454
Zn  0.125  0.251  0.375
Zn  0.625  0.251  0.875
Zn  0.375  0.749  0.125
Zn  0.875  0.749  0.625

***

Density functional theory data (PBE with a Hubbard U) for crystalline VCo3O8 at its relaxed geometry.

Output
Energy relative to the elements   -1.380 eV per atom
Total magnetization   4.00 μB per cell
Energy relative to the lowest polymorph listed for this composition   0 meV/atom

a b c (Å): 5.668 5.668 8.835
angles (deg): 90.00 90.00 120.00
Positions (direct):
V  0.333  0.667  0.000
V  0.667  0.333  0.500
Co  0.170  0.341  0.715
Co  0.170  0.830  0.715
Co  0.341  0.170  0.215
Co  0.659  0.830  0.715
Co  0.830  0.170  0.215
Co  0.830  0.659  0.215
O  0.000  0.000  0.309
O  0.000  0.000  0.809
O  0.040  0.520  0.834
O  0.174  0.347  0.096
O  0.174  0.826  0.096
O  0.333  0.667  0.604
O  0.347  0.174  0.596
O  0.480  0.520  0.834
O  0.480  0.960  0.834
O  0.520  0.040  0.334
O  0.520  0.480  0.334
O  0.653  0.826  0.096
O  0.667  0.333  0.104
O  0.826  0.174  0.596
O  0.826  0.653  0.596
O  0.960  0.480  0.334